## BaCoH2C3ClO8 (PBE with a Hubbard U)

Data for a relaxed BaCoH2C3ClO8 crystal.

```
64
Lattice="0.000 8.212 0.000 -0.279 0.000 9.807 11.353 4.106 -2.364" Properties=species:S:1:pos:R:3 pbc="T T T"
Ba 2.097 6.678 6.979
Ba 8.837 10.784 5.367
Ba 8.977 5.639 0.464
Ba 2.237 1.534 2.075
Co 3.176 5.352 3.321
Co 8.038 9.458 -0.782
Co 7.898 6.965 4.121
Co 3.036 2.859 8.225
H -0.049 4.383 8.105
H 10.983 8.489 4.241
H 11.123 7.935 -0.663
H 0.090 3.829 3.201
H 10.842 4.838 4.289
H 0.092 0.732 8.057
H 0.232 7.479 3.153
H 10.982 11.585 -0.614
C 2.863 5.081 0.469
C 8.350 9.186 2.070
C 8.210 7.237 6.974
C 2.724 3.131 5.372
C 4.960 6.896 5.347
C 5.974 2.790 6.999
C 6.114 5.421 2.095
C 5.099 9.527 0.444
C 2.666 6.586 0.778
C 8.548 10.692 1.761
C 8.408 5.731 6.664
C 2.526 1.626 5.682
Cl 0.836 5.714 4.166
Cl 10.377 9.820 -1.627
Cl 10.238 6.603 3.276
Cl 0.696 2.497 9.070
O 2.823 6.908 2.009
O 8.390 11.014 0.529
O 8.250 5.409 5.433
O 2.684 1.303 6.913
O 2.342 7.389 -0.130
O 8.872 3.283 2.668
O 8.732 4.929 7.572
O 2.202 9.035 4.774
O 5.895 7.284 4.576
O 5.039 3.178 7.769
O 5.178 5.033 2.866
O 6.035 9.139 -0.327
O -0.209 5.007 7.355
O -0.070 3.205 2.452
O -0.209 0.096 7.355
O -0.070 8.116 2.452
O 2.756 4.756 9.059
O 8.178 8.861 3.286
O 8.318 7.562 -1.617
O 2.895 3.456 4.156
O 2.814 4.308 1.471
O 8.399 8.414 1.068
O 8.260 8.009 5.971
O 2.674 3.903 6.375
O 3.875 6.356 4.834
O 7.059 10.462 7.512
O 7.199 5.961 2.609
O 4.014 1.855 -0.070
O 4.964 7.062 6.604
O 5.970 2.956 5.741
O 6.110 5.255 0.838
O 5.104 9.361 1.701
```

## Properties
For the total moment, the calculation gives 2.000 μB/f.u. The density is 2.9 g cm⁻³. For the formation energy, the calculation gives -27.2 eV per formula unit. As for the symmetry: No. 15. The value obtained for the total energy is -6.5598 eV/atom. Its MP2020-corrected energy is -7.006 eV/atom.

## Fe3Cu2TeP6O24 (PBE with a Hubbard U)

Data for a relaxed Fe3Cu2TeP6O24 crystal.

```
36
Lattice="7.508 -4.332 0.000 7.508 4.332 0.000 5.008 0.000 7.075" Properties=species:S:1:pos:R:3 pbc="T T T"
Fe 2.895 0.000 1.023
Fe 7.118 0.000 2.515
Fe 12.873 0.000 4.549
Cu 0.187 0.000 0.066
Cu 10.014 0.000 3.538
Te 17.160 0.000 6.063
P 11.759 3.042 3.798
P 10.713 -1.230 6.758
P 12.468 -1.812 1.789
P 7.476 1.770 5.270
P 9.225 1.261 0.320
P 8.203 -3.031 3.210
O 6.209 1.715 2.118
O 5.679 -0.796 3.620
O 7.022 0.917 6.468
O 6.668 -0.920 0.819
O 8.783 2.623 5.688
O 8.044 0.906 4.127
O 9.165 2.797 0.403
O 8.911 0.596 1.674
O 10.789 3.502 2.732
O 8.388 -1.502 3.154
O 11.362 3.735 5.228
O 9.270 -0.869 7.032
O 10.758 0.799 0.100
O 8.636 -3.714 1.900
O 11.601 1.522 3.986
O 9.244 -3.422 4.383
O 11.109 -0.669 5.379
O 10.856 -2.859 6.660
O 11.987 -0.853 2.894
O 11.290 -2.633 1.313
O 13.365 0.807 6.248
O 13.011 -0.877 0.560
O 14.316 0.842 3.555
O 13.850 -1.649 4.872
```

## Properties
For the total moment, the calculation gives 16.000 μB/f.u. The density is 3.6 g cm⁻³. For the formation energy, the calculation gives -76.8 eV per formula unit. As for the symmetry: No. 146. The value obtained for the total energy is -6.7086 eV/atom. Its MP2020-corrected energy is -7.355 eV/atom.

## LiLu2W2Cl2O8 (PBE with a Hubbard U)

Data for a relaxed LiLu2W2Cl2O8 crystal.

```
15
Lattice="2.681 4.496 -2.934 4.182 3.619 4.136 6.353 -2.017 -0.800" Properties=species:S:1:pos:R:3 pbc="T T T"
Li 6.025 3.836 -1.508
Lu 6.952 0.304 -0.606
Lu 6.305 5.884 1.065
W 4.014 2.535 0.288
W 9.282 3.505 0.191
Cl 4.159 3.979 -3.085
Cl 4.835 -1.393 -0.599
O 5.669 1.971 -0.504
O 7.784 4.312 0.805
O 8.642 1.735 0.138
O 4.735 4.352 0.321
O 9.498 4.333 -1.395
O 3.809 1.384 1.721
O 2.571 2.148 -0.962
O 10.621 4.028 1.366
```

## Properties
For the total moment, the calculation gives 1.000 μB/f.u. The density is 6.4 g cm⁻³. For the formation energy, the calculation gives -39.2 eV per formula unit. The calculation puts the energy relative to the lowest polymorph listed for this composition at 0.000 eV per formula unit. As for the symmetry: No. 1. The value obtained for the total energy is -6.9963 eV/atom. Its MP2020-corrected energy is -7.954 eV/atom.

## Li9Mn2Co5O16 (PBE with a Hubbard U)

Data for a relaxed Li9Mn2Co5O16 crystal.

```
32
Lattice="-2.849 -0.895 0.054 0.976 -7.226 -2.787 1.573 -4.395 11.628" Properties=species:S:1:pos:R:3 pbc="T T T"
Li 0.138 -4.920 -1.079
Li -2.072 -3.127 3.344
Li -0.448 -7.604 4.855
Li -0.426 -7.560 9.820
Li -0.423 -7.661 -0.208
Li 0.152 -4.931 4.085
Li 0.104 -4.776 9.145
Li 1.759 -9.410 5.665
Li 0.380 -9.851 8.028
Mn 2.504 -11.562 8.818
Mn -1.242 -5.368 1.538
Co -0.629 -2.665 5.862
Co 0.993 -7.213 7.364
Co -0.687 -2.683 0.788
Co 1.007 -7.193 2.292
Co -1.271 -5.358 6.647
O -0.779 -6.671 -1.983
O -0.348 -3.810 2.306
O 1.400 -8.287 3.815
O 1.301 -8.085 8.848
O 0.278 -1.187 1.515
O -0.810 -6.489 3.091
O -0.983 -6.495 8.142
O -0.255 -3.752 7.398
O -1.587 -4.204 -0.027
O -0.038 -8.781 1.523
O 0.547 -6.057 5.871
O 0.449 -5.892 10.952
O 0.722 -6.052 0.713
O -1.683 -4.272 5.094
O 2.200 -10.607 7.296
O -0.005 -8.572 6.548
```

## Properties
For the total moment, the calculation gives 10.000 μB/f.u. The density is 4.2 g cm⁻³. For the formation energy, the calculation gives -57.8 eV per formula unit. The calculation puts the energy relative to the lowest polymorph listed for this composition at 1.818 eV per formula unit. As for the symmetry: No. 1. The value obtained for the total energy is -5.7978 eV/atom. Its MP2020-corrected energy is -6.501 eV/atom.

## Pr2FeAs2O (PBE with a Hubbard U)

Data for a relaxed Pr2FeAs2O crystal.

```
6
Lattice="3.320 0.000 0.000 0.000 3.320 0.000 0.000 0.000 15.439" Properties=species:S:1:pos:R:3 pbc="T T T"
Pr 1.660 1.660 9.845
Pr 1.660 1.660 5.594
Fe 1.660 1.660 0.000
As 1.660 1.660 2.470
As 1.660 1.660 12.970
O 1.660 1.660 7.720
```

## Properties
For the total moment, the calculation gives 4.428 μB/f.u. The density is 4.9 g cm⁻³. For the formation energy, the calculation gives -0.9 eV per formula unit. As for the symmetry: No. 123. The value obtained for the total energy is -5.0348 eV/atom. Its MP2020-corrected energy is -5.525 eV/atom.

## Li4Mn2VNi3P6O24 (PBE with a Hubbard U)

Data for a relaxed Li4Mn2VNi3P6O24 crystal.

```
40
Lattice="-1.560 5.973 5.806 -2.797 8.002 -2.444 -8.260 2.494 1.767" Properties=species:S:1:pos:R:3 pbc="T T T"
Li -8.116 9.910 0.533
Li -4.562 6.766 4.823
Li -4.429 10.759 3.092
Li -8.088 9.316 4.962
Mn -2.834 8.087 -2.338
Mn -6.283 8.157 2.537
V -2.511 4.887 3.095
Ni -7.251 7.150 -0.052
Ni -10.117 11.562 1.972
Ni -5.350 9.326 5.223
P -5.630 4.851 1.752
P -5.127 9.720 -0.478
P -9.800 8.242 1.747
P -2.795 8.213 3.292
P -7.516 6.736 5.623
P -7.037 11.589 3.236
O -2.965 1.953 0.596
O -2.419 4.775 -0.788
O -5.282 4.183 0.426
O -6.639 3.891 2.427
O -4.348 5.003 2.668
O -6.167 6.278 1.589
O -3.758 9.082 -0.724
O -6.037 8.888 0.462
O -2.655 8.236 1.801
O -8.269 8.048 1.581
O -2.541 6.741 3.914
O -10.390 13.462 2.401
O -2.186 3.082 2.754
O -10.102 9.640 1.146
O -4.332 8.418 3.611
O -1.775 5.646 1.525
O -6.719 7.775 4.738
O -8.941 7.456 5.808
O -6.336 10.209 3.545
O -8.117 11.255 2.219
O -5.844 12.456 2.590
O -7.492 12.376 4.438
O -10.123 11.612 5.827
O -9.784 14.597 4.608
```

## Properties
For the total moment, the calculation gives 17.000 μB/f.u. The density is 3.4 g cm⁻³. For the formation energy, the calculation gives -96.5 eV per formula unit. As for the symmetry: No. 1. The value obtained for the total energy is -6.7732 eV/atom. Its MP2020-corrected energy is -7.502 eV/atom.

## LiMn2F9 (PBE with a Hubbard U)

Data for a relaxed LiMn2F9 crystal.

```
24
Lattice="5.374 0.000 0.000 -2.648 4.793 0.000 -0.108 -0.491 13.780" Properties=species:S:1:pos:R:3 pbc="T T T"
Li 4.405 1.149 7.422
Li -0.822 3.284 0.497
Mn 4.465 0.052 2.184
Mn 3.484 -0.080 4.728
Mn -0.944 4.344 9.095
Mn -1.889 4.290 11.654
F 4.564 0.171 12.035
F 3.264 1.312 5.833
F 3.270 0.346 8.735
F 2.873 0.766 3.010
F 2.864 3.553 9.890
F 1.762 3.861 5.961
F 1.304 3.409 3.359
F 0.954 4.041 0.835
F 1.640 0.319 12.936
F 1.202 0.898 10.375
F 0.808 0.435 7.822
F -0.272 0.719 3.875
F -0.269 3.575 10.729
F -0.547 1.535 1.254
F -0.706 3.968 5.077
F -0.594 2.931 8.058
F -1.977 4.088 1.810
F 3.320 2.819 12.664
```

## Properties
For the total moment, the calculation gives 6.000 μB/f.u. The density is 2.7 g cm⁻³. For the formation energy, the calculation gives -30.7 eV per formula unit. The calculation puts the energy relative to the lowest polymorph listed for this composition at 0.056 eV per formula unit. As for the symmetry: No. 1. The value obtained for the total energy is -5.0518 eV/atom. Its MP2020-corrected energy is -5.676 eV/atom.

## Mo2N3O4F5 (PBE with a Hubbard U)

Data for a relaxed Mo2N3O4F5 crystal.

```
56
Lattice="6.495 0.000 0.000 0.000 9.838 0.000 0.000 0.000 15.434" Properties=species:S:1:pos:R:3 pbc="T T T"
Mo 3.248 4.406 12.807
Mo 3.248 5.432 2.627
Mo 0.000 0.513 5.090
Mo 0.000 9.325 10.344
Mo 3.248 2.296 15.022
Mo 3.248 7.541 0.412
Mo 0.000 2.623 7.305
Mo 0.000 7.215 8.129
N 0.000 6.034 14.167
N 0.000 3.803 1.267
N 3.248 8.722 6.450
N 3.248 1.115 8.984
N 3.248 1.600 3.346
N 3.248 8.238 12.088
N 0.000 3.319 11.063
N 0.000 6.518 4.371
N 0.000 9.215 1.618
N 0.000 0.623 13.816
N 3.248 5.542 9.335
N 3.248 4.296 6.099
O 4.486 3.507 14.061
O 4.486 6.331 1.373
O 5.257 1.412 6.344
O 5.257 8.426 9.090
O 2.009 6.331 1.373
O 2.009 3.507 14.061
O 1.238 8.426 9.090
O 1.238 1.412 6.344
O 3.248 3.187 11.607
O 3.248 6.651 3.827
O 0.000 1.732 3.890
O 0.000 8.106 11.544
O 3.248 1.044 13.857
O 3.248 8.794 1.577
O 0.000 3.875 6.140
O 0.000 5.963 9.294
F 4.659 5.471 12.125
F 4.659 4.366 3.309
F 5.084 9.285 4.408
F 5.084 0.552 11.026
F 1.836 4.366 3.309
F 1.836 5.471 12.125
F 1.411 0.552 11.026
F 1.411 9.285 4.408
F 1.826 1.656 0.664
F 1.826 8.182 14.770
F 1.422 3.263 8.381
F 1.422 6.575 7.053
F 4.669 8.182 14.770
F 4.669 1.656 0.664
F 5.073 6.575 7.053
F 5.073 3.263 8.381
F 3.248 3.884 1.078
F 3.248 5.954 14.356
F 0.000 1.035 8.795
F 0.000 8.802 6.639
```

## Properties
For the total moment, the calculation gives 2.180 μB/f.u. The density is 2.6 g cm⁻³. For the formation energy, the calculation gives -7.3 eV per formula unit. As for the symmetry: No. 58. The value obtained for the total energy is -5.1337 eV/atom. Its MP2020-corrected energy is -5.952 eV/atom.

## MgMn6O10F2 (PBE with a Hubbard U)

Data for a relaxed MgMn6O10F2 crystal.

```
19
Lattice="-5.224 5.417 2.950 -0.308 5.084 -2.924 -4.876 0.320 -2.908" Properties=species:S:1:pos:R:3 pbc="T T T"
Mg -2.753 5.313 -0.044
Mn -8.108 8.408 -1.483
Mn -5.418 5.393 -0.054
Mn -4.965 5.327 -2.856
Mn -2.347 2.377 -1.450
Mn -2.850 2.879 1.421
Mn -9.926 5.785 -0.065
O -6.690 3.936 -0.020
O -6.573 3.904 -2.929
O -6.167 6.175 -1.609
O -6.159 6.262 1.476
O -4.203 4.551 1.280
O -4.167 4.547 -4.407
O -4.193 4.567 -1.369
O -3.795 6.842 -2.934
O -3.928 6.922 -0.047
O -8.662 7.294 -0.012
F -6.200 6.219 -4.288
F -6.810 8.983 0.031
```

## Properties
For the total moment, the calculation gives 22.000 μB/f.u. The density is 4.2 g cm⁻³. For the formation energy, the calculation gives -39.6 eV per formula unit. The calculation puts the energy relative to the lowest polymorph listed for this composition at 0.850 eV per formula unit. As for the symmetry: No. 1. The value obtained for the total energy is -6.9324 eV/atom. Its MP2020-corrected energy is -7.869 eV/atom.

## TaMn2FeO6 (PBE with a Hubbard U)

Data for a relaxed TaMn2FeO6 crystal.

```
10
Lattice="1.650 2.989 -4.450 -3.563 2.733 -3.361 -0.325 5.595 -0.238" Properties=species:S:1:pos:R:3 pbc="T T T"
Ta -1.748 8.841 -6.288
Mn -1.129 5.711 -4.062
Mn -2.229 11.273 -8.017
Fe -0.628 3.175 -2.258
O 0.763 4.488 -3.205
O -1.643 5.000 -1.816
O -1.661 3.360 -4.116
O -3.215 6.099 -3.895
O -0.526 5.123 -6.016
O 0.091 7.236 -3.216
```

## Properties
For the total moment, the calculation gives 15.000 μB/f.u. The density is 6.4 g cm⁻³. For the formation energy, the calculation gives -24.0 eV per formula unit. As for the symmetry: No. 146. The value obtained for the total energy is -8.2613 eV/atom. Its MP2020-corrected energy is -9.233 eV/atom.